No. 1
Density functional theory data (GGA+U) for an optimized crystal structure of MgFe8O14F2.

For the spin magnetization, the calculation gives 36.43 μB per formula unit. The value obtained for the energy of formation from the pure elements is -149 kJ/mol of atoms. The calculation puts the distance to the lowest polymorph of the same formula at 2.349 eV per formula unit.

Unit cell a=4.578 b=4.529 c=13.474 alpha=86.89 beta=84.65 gamma=90.19
Atoms (fractional coordinates):
Mg  0.220  0.746  0.755
Fe  0.096  0.005  0.028
Fe  0.019  0.981  0.254
Fe  0.983  0.953  0.487
Fe  0.796  0.171  0.735
Fe  0.549  0.491  0.137
Fe  0.383  0.401  0.587
Fe  0.584  0.608  0.918
Fe  0.495  0.463  0.357
O  0.245  0.797  0.143
O  0.174  0.757  0.603
O  0.243  0.831  0.902
O  0.188  0.767  0.366
O  0.375  0.328  0.020
O  0.330  0.277  0.247
O  0.276  0.261  0.468
O  0.240  0.267  0.728
O  0.768  0.730  0.028
O  0.717  0.676  0.251
O  0.725  0.743  0.773
O  0.863  0.195  0.137
O  0.801  0.161  0.365
O  0.749  0.185  0.599
F  0.664  0.658  0.482
F  0.795  0.241  0.878


No. 2
Density functional theory data (GGA+U) for an optimized crystal structure of Ca3Cr2Si4O14.

For the spin magnetization, the calculation gives 6.00 μB per formula unit. The value obtained for the energy of formation from the pure elements is -304 kJ/mol of atoms.

Unit cell a=9.421 b=9.421 c=10.182 alpha=58.77 beta=58.77 gamma=48.19
Atoms (fractional coordinates):
Ca  0.232  0.165  0.539
Ca  0.835  0.768  0.961
Ca  0.165  0.232  0.039
Ca  0.656  0.344  0.250
Ca  0.768  0.835  0.461
Ca  0.344  0.656  0.750
Cr  0.209  0.791  0.250
Cr  0.791  0.209  0.750
Cr  0.000  0.000  0.000
Cr  0.000  0.000  0.500
Si  0.118  0.535  0.652
Si  0.535  0.118  0.152
Si  0.212  0.535  0.149
Si  0.535  0.212  0.649
Si  0.465  0.882  0.848
Si  0.788  0.465  0.851
Si  0.465  0.788  0.351
Si  0.882  0.465  0.348
O  0.284  0.881  0.500
O  0.894  0.962  0.727
O  0.647  0.463  0.807
O  0.962  0.894  0.227
O  0.925  0.264  0.497
O  0.499  0.050  0.821
O  0.463  0.647  0.307
O  0.736  0.075  0.003
O  0.501  0.950  0.179
O  0.668  0.659  0.411
O  0.106  0.038  0.273
O  0.075  0.736  0.503
O  0.950  0.501  0.679
O  0.881  0.284  0.000
O  0.659  0.668  0.911
O  0.264  0.925  0.997
O  0.468  0.894  0.683
O  0.332  0.341  0.589
O  0.106  0.532  0.817
O  0.341  0.332  0.089
O  0.050  0.499  0.321
O  0.038  0.106  0.773
O  0.894  0.468  0.183
O  0.353  0.537  0.193
O  0.532  0.106  0.317
O  0.537  0.353  0.693
O  0.119  0.716  0.000
O  0.716  0.119  0.500


No. 3
Density functional theory data (GGA+U) for an optimized crystal structure of Ti2In3FeO10.

For the spin magnetization, the calculation gives 5.00 μB per formula unit. The value obtained for the energy of formation from the pure elements is -241 kJ/mol of atoms.

Unit cell a=10.226 b=5.975 c=6.506 alpha=72.26 beta=90.00 gamma=90.00
Atoms (fractional coordinates):
Ti  0.155  0.303  0.491
Ti  0.655  0.697  0.509
Ti  0.501  0.256  0.500
Ti  0.001  0.744  0.500
In  0.998  0.250  0.998
In  0.498  0.750  0.002
In  0.668  0.229  0.002
In  0.168  0.771  0.998
In  0.333  0.270  0.997
In  0.833  0.730  0.003
Fe  0.844  0.193  0.506
Fe  0.344  0.807  0.494
O  0.541  0.944  0.498
O  0.041  0.056  0.502
O  0.462  0.555  0.501
O  0.962  0.445  0.499
O  0.333  0.891  0.167
O  0.833  0.109  0.833
O  0.666  0.612  0.829
O  0.166  0.388  0.171
O  0.816  0.858  0.501
O  0.316  0.142  0.499
O  0.180  0.627  0.497
O  0.680  0.373  0.503
O  0.001  0.863  0.170
O  0.501  0.137  0.830
O  0.001  0.640  0.832
O  0.501  0.360  0.168
O  0.666  0.830  0.172
O  0.166  0.170  0.828
O  0.333  0.665  0.831
O  0.833  0.335  0.169


No. 4
Density functional theory data (GGA+U) for an optimized crystal structure of SrLaTiFeO6.

For the spin magnetization, the calculation gives 0.00 μB per formula unit. The value obtained for the energy of formation from the pure elements is -305 kJ/mol of atoms. The calculation puts the distance to the lowest polymorph of the same formula at 0.000 eV per formula unit.

Unit cell a=5.585 b=5.585 c=9.673 alpha=73.22 beta=73.22 gamma=60.00
Atoms (fractional coordinates):
Sr  0.875  0.875  0.375
Sr  0.375  0.375  0.875
La  0.625  0.625  0.125
La  0.125  0.125  0.625
Ti  0.250  0.250  0.250
Ti  0.750  0.750  0.750
Fe  0.500  0.500  0.500
Fe  0.000  0.000  0.000
O  0.126  0.126  0.126
O  0.626  0.626  0.626
O  0.374  0.374  0.374
O  0.874  0.874  0.874
O  0.374  0.879  0.374
O  0.874  0.379  0.874
O  0.126  0.621  0.126
O  0.626  0.121  0.626
O  0.879  0.374  0.374
O  0.379  0.874  0.874
O  0.621  0.126  0.126
O  0.121  0.626  0.626


No. 5
Density functional theory data (GGA+U) for an optimized crystal structure of Li2Mn3Si3O10.

For the spin magnetization, the calculation gives 5.00 μB per formula unit. The value obtained for the energy of formation from the pure elements is -264 kJ/mol of atoms.

Unit cell a=8.421 b=8.421 c=10.613 alpha=86.87 beta=86.87 gamma=33.93
Atoms (fractional coordinates):
Li  0.250  0.865  0.025
Li  0.865  0.250  0.525
Li  0.135  0.750  0.475
Li  0.750  0.135  0.975
Mn  0.375  0.929  0.293
Mn  0.929  0.375  0.793
Mn  0.500  0.000  0.000
Mn  0.000  0.500  0.500
Mn  0.071  0.625  0.207
Mn  0.625  0.071  0.707
Si  0.836  0.471  0.099
Si  0.471  0.836  0.599
Si  0.529  0.164  0.401
Si  0.164  0.529  0.901
Si  0.799  0.201  0.250
Si  0.201  0.799  0.750
O  0.020  0.063  0.359
O  0.643  0.493  0.184
O  0.063  0.020  0.859
O  0.493  0.643  0.684
O  0.167  0.139  0.103
O  0.606  0.688  0.460
O  0.139  0.167  0.603
O  0.688  0.606  0.960
O  0.761  0.701  0.165
O  0.701  0.761  0.665
O  0.299  0.239  0.335
O  0.239  0.299  0.835
O  0.312  0.394  0.040
O  0.861  0.833  0.397
O  0.394  0.312  0.540
O  0.833  0.861  0.897
O  0.507  0.357  0.316
O  0.937  0.980  0.141
O  0.357  0.507  0.816
O  0.980  0.937  0.641


No. 6
Density functional theory data (GGA+U) for an optimized crystal structure of MnOF.

For the spin magnetization, the calculation gives 4.00 μB per formula unit. The value obtained for the energy of formation from the pure elements is -223 kJ/mol of atoms.

Unit cell a=4.591 b=5.711 c=10.361 alpha=89.85 beta=89.38 gamma=89.79
Atoms (fractional coordinates):
Mn  0.030  0.167  0.616
Mn  0.003  0.848  0.364
Mn  0.003  0.150  0.113
Mn  0.038  0.862  0.864
Mn  0.501  0.345  0.884
Mn  0.507  0.345  0.387
Mn  0.512  0.648  0.139
Mn  0.495  0.639  0.632
O  0.220  0.112  0.453
O  0.226  0.115  0.952
O  0.216  0.882  0.201
O  0.236  0.893  0.702
O  0.286  0.404  0.728
O  0.720  0.377  0.046
O  0.718  0.615  0.298
O  0.727  0.383  0.545
F  0.255  0.376  0.229
F  0.239  0.610  0.468
F  0.270  0.620  0.979
F  0.759  0.621  0.804
F  0.751  0.114  0.271
F  0.765  0.876  0.016
F  0.773  0.129  0.775
F  0.750  0.870  0.532


No. 7
Density functional theory data (GGA+U) for an optimized crystal structure of BaLaTiCrO6.

For the spin magnetization, the calculation gives 0.00 μB per formula unit. The value obtained for the energy of formation from the pure elements is -318 kJ/mol of atoms. The calculation puts the distance to the lowest polymorph of the same formula at 0.066 eV per formula unit.

Unit cell a=7.965 b=9.755 c=7.965 alpha=65.91 beta=90.00 gamma=65.91
Atoms (fractional coordinates):
Ba  0.250  0.500  0.750
Ba  0.500  0.000  0.500
Ba  0.750  0.500  0.250
Ba  0.000  0.000  0.000
La  0.750  0.500  0.750
La  0.000  0.000  0.500
La  0.250  0.500  0.250
La  0.500  0.000  0.000
Ti  0.375  0.750  0.375
Ti  0.625  0.250  0.125
Ti  0.875  0.750  0.875
Ti  0.125  0.250  0.625
Cr  0.125  0.250  0.125
Cr  0.375  0.750  0.875
Cr  0.875  0.750  0.375
Cr  0.625  0.250  0.625
O  0.623  0.750  0.375
O  0.873  0.250  0.125
O  0.123  0.750  0.875
O  0.373  0.250  0.625
O  0.127  0.750  0.375
O  0.377  0.250  0.125
O  0.627  0.750  0.875
O  0.877  0.250  0.625
O  0.375  0.750  0.127
O  0.625  0.250  0.877
O  0.875  0.750  0.627
O  0.125  0.250  0.377
O  0.375  0.750  0.623
O  0.625  0.250  0.373
O  0.875  0.750  0.123
O  0.125  0.250  0.873
O  0.499  0.502  0.499
O  0.749  0.002  0.249
O  0.999  0.502  0.999
O  0.249  0.002  0.749
O  0.251  0.998  0.251
O  0.501  0.498  0.001
O  0.751  0.998  0.751
O  0.001  0.498  0.501


No. 8
Density functional theory data (GGA+U) for an optimized crystal structure of Na2Mn2Si2O7.

For the spin magnetization, the calculation gives 10.00 μB per formula unit. The value obtained for the energy of formation from the pure elements is -255 kJ/mol of atoms.

Unit cell a=13.478 b=5.822 c=10.628 alpha=56.70 beta=90.00 gamma=90.00
Atoms (fractional coordinates):
Na  0.753  0.589  0.695
Na  0.253  0.411  0.805
Na  0.247  0.411  0.305
Na  0.747  0.589  0.195
Na  0.840  0.948  0.384
Na  0.340  0.052  0.116
Na  0.160  0.052  0.616
Na  0.660  0.948  0.884
Mn  0.993  0.571  0.291
Mn  0.493  0.429  0.209
Mn  0.007  0.429  0.709
Mn  0.507  0.571  0.791
Mn  0.919  0.780  0.883
Mn  0.419  0.220  0.617
Mn  0.081  0.220  0.117
Mn  0.581  0.780  0.383
Si  0.119  0.848  0.972
Si  0.619  0.152  0.528
Si  0.881  0.152  0.028
Si  0.381  0.848  0.472
Si  0.833  0.266  0.550
Si  0.333  0.734  0.950
Si  0.167  0.734  0.450
Si  0.667  0.266  0.050
O  0.790  0.335  0.042
O  0.290  0.665  0.458
O  0.210  0.665  0.958
O  0.710  0.335  0.542
O  0.959  0.394  0.908
O  0.459  0.606  0.592
O  0.041  0.606  0.092
O  0.541  0.394  0.408
O  0.867  0.340  0.382
O  0.367  0.660  0.118
O  0.133  0.660  0.618
O  0.633  0.340  0.882
O  0.836  0.957  0.977
O  0.336  0.043  0.523
O  0.164  0.043  0.023
O  0.664  0.957  0.477
O  0.848  0.943  0.680
O  0.348  0.057  0.820
O  0.152  0.057  0.320
O  0.652  0.943  0.180
O  0.940  0.981  0.191
O  0.440  0.019  0.309
O  0.060  0.019  0.809
O  0.560  0.981  0.691
O  0.883  0.485  0.583
O  0.383  0.515  0.917
O  0.117  0.515  0.417
O  0.617  0.485  0.083